# TbGa5Co, relaxed, DFT PBE-GGA
# ΔH_f (0 K) = -473 meV/atom
data_TbGa5Co
_chemical_formula_sum 'Tb1 Ga5 Co1'
_cell_length_a 4.2147
_cell_length_b 4.2147
_cell_length_c 6.8151
_cell_angle_alpha 90.00
_cell_angle_beta 90.00
_cell_angle_gamma 90.00
_space_group_name_H-M_alt 'P 4/m m m'
_space_group_IT_number 123
_space_group_name_Hall '-P 4 2'
loop_
_atom_site_label
_atom_site_type_symbol
_atom_site_fract_x
_atom_site_fract_y
_atom_site_fract_z
_atom_site_occupancy
Tb1 Tb 0.0000 0.0000 0.0000 1
Ga1 Ga 0.0000 0.5000 0.3109 1
Ga2 Ga 0.5000 0.5000 0.0000 1
Co1 Co 0.0000 0.0000 0.5000 1


# Na5Sn2, relaxed, DFT PBE-GGA
# ΔH_f (0 K) = -177 meV/atom
data_Na5Sn2
_chemical_formula_sum 'Na15 Sn6'
_cell_length_a 5.4751
_cell_length_b 5.4751
_cell_length_c 22.7476
_cell_angle_alpha 90.00
_cell_angle_beta 90.00
_cell_angle_gamma 120.00
_space_group_name_H-M_alt 'R -3 m'
_space_group_IT_number 166
_space_group_name_Hall '-R 3 2"'
loop_
_atom_site_label
_atom_site_type_symbol
_atom_site_fract_x
_atom_site_fract_y
_atom_site_fract_z
_atom_site_occupancy
Na1 Na 0.0000 0.0000 0.0000 1
Na2 Na 0.0000 0.0000 0.1474 1
Na3 Na 0.0000 0.0000 0.2873 1
Sn1 Sn 0.0000 0.0000 0.4338 1